(1)
Material: Li3FeF5
Method: DFT, PBE+U
State: relaxed

## Properties
Its final energy is -4.993 eV per atom. The symmetry is Pbca, No. 61. Its formation energy is -65.95 kcal/mol of atoms. As for the energy above the most stable polymorph in this dataset: 0.0608 eV per atom.

a b c (Å): 5.8334 10.8089 12.2708
angles (deg): 90.00 90.00 90.00
Fractional coordinates of all 72 atoms:
Fe (0.3217, 0.8419, 0.5627)
Fe (0.1783, 0.3419, 0.5627)
Fe (0.3217, 0.6581, 0.0627)
Fe (0.8217, 0.6581, 0.4373)
Fe (0.1783, 0.1581, 0.0627)
Fe (0.6783, 0.1581, 0.4373)
Fe (0.8217, 0.8419, 0.9373)
Fe (0.6783, 0.3419, 0.9373)
Li (0.2558, 0.4617, 0.8139)
Li (0.7558, 0.0383, 0.1861)
Li (0.3760, 0.5787, 0.5993)
Li (0.6240, 0.0787, 0.9007)
Li (0.4826, 0.6977, 0.8332)
Li (0.7442, 0.5383, 0.1861)
Li (0.5174, 0.3023, 0.1668)
Li (0.8760, 0.9213, 0.4007)
Li (0.5174, 0.1977, 0.6668)
Li (0.2558, 0.0383, 0.3139)
Li (0.6240, 0.4213, 0.4007)
Li (0.4826, 0.8023, 0.3332)
Li (0.2442, 0.9617, 0.8139)
Li (0.2442, 0.5383, 0.3139)
Li (0.9826, 0.8023, 0.1668)
Li (0.7558, 0.4617, 0.6861)
Li (0.0174, 0.3023, 0.3332)
Li (0.1240, 0.0787, 0.5993)
Li (0.1240, 0.4213, 0.0993)
Li (0.3760, 0.9213, 0.0993)
Li (0.0174, 0.1977, 0.8332)
Li (0.8760, 0.5787, 0.9007)
Li (0.7442, 0.9617, 0.6861)
Li (0.9826, 0.6977, 0.6668)
F (0.6679, 0.2784, 0.3032)
F (0.9086, 0.9909, 0.8254)
F (0.5047, 0.6158, 0.3766)
F (0.3657, 0.3300, 0.0103)
F (0.5914, 0.0091, 0.3254)
F (0.7113, 0.8968, 0.0898)
F (0.6679, 0.2216, 0.8032)
F (0.3321, 0.7216, 0.6968)
F (0.9953, 0.3842, 0.8766)
F (0.8657, 0.3300, 0.4897)
F (0.5047, 0.8842, 0.8766)
F (0.5914, 0.4909, 0.8254)
F (0.0047, 0.8842, 0.6234)
F (0.2887, 0.1032, 0.9102)
F (0.1679, 0.2216, 0.6968)
F (0.2887, 0.3968, 0.4102)
F (0.1679, 0.2784, 0.1968)
F (0.6343, 0.6700, 0.9897)
F (0.1343, 0.6700, 0.5103)
F (0.0914, 0.0091, 0.1746)
F (0.2113, 0.8968, 0.4102)
F (0.7113, 0.6032, 0.5898)
F (0.8321, 0.7216, 0.8032)
F (0.3657, 0.1700, 0.5103)
F (0.0047, 0.6158, 0.1234)
F (0.9953, 0.1158, 0.3766)
F (0.6343, 0.8300, 0.4897)
F (0.4086, 0.5091, 0.1746)
F (0.1343, 0.8300, 0.0103)
F (0.7887, 0.3968, 0.0898)
F (0.7887, 0.1032, 0.5898)
F (0.4086, 0.9909, 0.6746)
F (0.0914, 0.4909, 0.6746)
F (0.9086, 0.5091, 0.3254)
F (0.4953, 0.3842, 0.6234)
F (0.4953, 0.1158, 0.1234)
F (0.2113, 0.6032, 0.9102)
F (0.3321, 0.7784, 0.1968)
F (0.8657, 0.1700, 0.9897)
F (0.8321, 0.7784, 0.3032)



(2)
Material: SrMnO3
Method: DFT, PBE+U
State: relaxed

## Properties
Its final energy is -6.881 eV per atom. The symmetry is P6_3mc, No. 186. Its formation energy is -57.36 kcal/mol of atoms.

a b c (Å): 5.5255 5.5255 9.2924
angles (deg): 90.00 90.00 120.00
Fractional coordinates of all 20 atoms:
O (0.1810, 0.3620, 0.7504)
O (0.1810, 0.8190, 0.7504)
O (0.6380, 0.8190, 0.7504)
O (0.8190, 0.1810, 0.2504)
O (0.0006, 0.5003, 0.4998)
O (0.5003, 0.4997, 0.9998)
O (0.8190, 0.6380, 0.2504)
O (0.4997, 0.9994, 0.4998)
O (0.4997, 0.5003, 0.4998)
O (0.3620, 0.1810, 0.2504)
O (0.9994, 0.4997, 0.9998)
O (0.5003, 0.0006, 0.9998)
Sr (0.0000, 0.0000, 0.9895)
Sr (0.3333, 0.6667, 0.2476)
Sr (0.0000, 0.0000, 0.4895)
Sr (0.6667, 0.3333, 0.7476)
Mn (0.6667, 0.3333, 0.3871)
Mn (0.6667, 0.3333, 0.1130)
Mn (0.3333, 0.6667, 0.6130)
Mn (0.3333, 0.6667, 0.8871)



(3)
Material: LaNd3Cr4O12
Method: DFT, PBE+U
State: relaxed

## Properties
Its final energy is -8.202 eV per atom. The symmetry is Pm, No. 6. Its formation energy is -72.70 kcal/mol of atoms.

a b c (Å): 7.8444 5.5044 5.6059
angles (deg): 89.97 90.00 90.00
Fractional coordinates of all 20 atoms:
O (0.7066, 0.2916, 0.2909)
O (0.0000, 0.4126, 0.0239)
O (0.5000, 0.9202, 0.4756)
O (0.2941, 0.2034, 0.7956)
O (0.0000, 0.0883, 0.5248)
O (0.2934, 0.2916, 0.2909)
O (0.7968, 0.7923, 0.2083)
O (0.2032, 0.7923, 0.2083)
O (0.7059, 0.2034, 0.7956)
O (0.5000, 0.5877, 0.9813)
O (0.7979, 0.7067, 0.7075)
O (0.2021, 0.7067, 0.7075)
Cr (0.7508, 0.4995, 0.9990)
Cr (0.7512, 0.0003, 0.5005)
Cr (0.2492, 0.4995, 0.9990)
Cr (0.2488, 0.0003, 0.5005)
Nd (0.5000, 0.0109, 0.0476)
Nd (0.0000, 0.9897, 0.9522)
Nd (0.0000, 0.5113, 0.4505)
La (0.5000, 0.4916, 0.5404)



(4)
Material: FeH18C6N6O13
Method: DFT, PBE+U
State: relaxed

## Properties
Its final energy is -6.222 eV per atom. The symmetry is P2_1/c, No. 14. Its formation energy is -23.96 kcal/mol of atoms.

a b c (Å): 7.0994 14.0688 17.0117
angles (deg): 98.29 90.00 90.00
Fractional coordinates of all 176 atoms:
H (0.4806, 0.0954, 0.7231)
H (0.1939, 0.2545, 0.9009)
H (0.2820, 0.2169, 0.3553)
H (0.2180, 0.7169, 0.8553)
H (0.3912, 0.4684, 0.5694)
H (0.9752, 0.3203, 0.7058)
H (0.0130, 0.4560, 0.5838)
H (0.5119, 0.4323, 0.3923)
H (0.3647, 0.4096, 0.7668)
H (0.7180, 0.7831, 0.6447)
H (0.7270, 0.4617, 0.9734)
H (0.8014, 0.6605, 0.4966)
H (0.6682, 0.0668, 0.0359)
H (0.8285, 0.7697, 0.3969)
H (0.6887, 0.3038, 0.8132)
H (0.2876, 0.1963, 0.2122)
H (0.1715, 0.2303, 0.6031)
H (0.1353, 0.9096, 0.2668)
H (0.5248, 0.8203, 0.2058)
H (0.6353, 0.5904, 0.2332)
H (0.7005, 0.3130, 0.5327)
H (0.5130, 0.0440, 0.9162)
H (0.2124, 0.6963, 0.7122)
H (0.5131, 0.9703, 0.8372)
H (0.8113, 0.8038, 0.3132)
H (0.8653, 0.1729, 0.8054)
H (0.7820, 0.2831, 0.1447)
H (0.7730, 0.9617, 0.4734)
H (0.2484, 0.3686, 0.0367)
H (0.8061, 0.7455, 0.0991)
H (0.6939, 0.2455, 0.5991)
H (0.3653, 0.3271, 0.6946)
H (0.2995, 0.6870, 0.4673)
H (0.6715, 0.2697, 0.8969)
H (0.9869, 0.4703, 0.3372)
H (0.2730, 0.5383, 0.0266)
H (0.1347, 0.8271, 0.1946)
H (0.9881, 0.9323, 0.8923)
H (0.2516, 0.8686, 0.5367)
H (0.8318, 0.5668, 0.5359)
H (0.5194, 0.9046, 0.2769)
H (0.0131, 0.5297, 0.6628)
H (0.1986, 0.3395, 0.5034)
H (0.6986, 0.1605, 0.9966)
H (0.3285, 0.7303, 0.1031)
H (0.4870, 0.9560, 0.0838)
H (0.2005, 0.1870, 0.9673)
H (0.9870, 0.5440, 0.4162)
H (0.0194, 0.5954, 0.2231)
H (0.1887, 0.1962, 0.6868)
H (0.4869, 0.0297, 0.1628)
H (0.8647, 0.0904, 0.7332)
H (0.1088, 0.9684, 0.0694)
H (0.7516, 0.6314, 0.9633)
H (0.4752, 0.1797, 0.7942)
H (0.7124, 0.8037, 0.7878)
H (0.7876, 0.3037, 0.2878)
H (0.6088, 0.5316, 0.4306)
H (0.0248, 0.6797, 0.2942)
H (0.0119, 0.0677, 0.1077)
H (0.1682, 0.4332, 0.4641)
H (0.8912, 0.0316, 0.9306)
H (0.7484, 0.1314, 0.4633)
H (0.4881, 0.5677, 0.6077)
H (0.3318, 0.9332, 0.9641)
H (0.3113, 0.6962, 0.1868)
H (0.3014, 0.8395, 0.0034)
H (0.6347, 0.6729, 0.3054)
H (0.9806, 0.4046, 0.7769)
H (0.2270, 0.0383, 0.5266)
H (0.7995, 0.8130, 0.0327)
H (0.3061, 0.7545, 0.4009)
C (0.8081, 0.1565, 0.2478)
C (0.7525, 0.2316, 0.3843)
C (0.7865, 0.5319, 0.0886)
C (0.1919, 0.8435, 0.7522)
C (0.8127, 0.4303, 0.1861)
C (0.2865, 0.9681, 0.4114)
C (0.2135, 0.4681, 0.9114)
C (0.6873, 0.9303, 0.6861)
C (0.3081, 0.3435, 0.2522)
C (0.3127, 0.0697, 0.3139)
C (0.1873, 0.5697, 0.8139)
C (0.2525, 0.2684, 0.1157)
C (0.6919, 0.6565, 0.7478)
C (0.7019, 0.5584, 0.8490)
C (0.7404, 0.3599, 0.0504)
C (0.7981, 0.0584, 0.3490)
C (0.7135, 0.0319, 0.5886)
C (0.2019, 0.9416, 0.6510)
C (0.7596, 0.8599, 0.5504)
C (0.7475, 0.7316, 0.8843)
C (0.2404, 0.1401, 0.4496)
C (0.2981, 0.4416, 0.1510)
C (0.2596, 0.6401, 0.9496)
C (0.2475, 0.7684, 0.6157)
Fe (0.8163, 0.9376, 0.1780)
Fe (0.1837, 0.0624, 0.8220)
Fe (0.3163, 0.5624, 0.3220)
Fe (0.6837, 0.4376, 0.6780)
N (0.3150, 0.4327, 0.2295)
N (0.2724, 0.1481, 0.3715)
N (0.6850, 0.5673, 0.7705)
N (0.7276, 0.8519, 0.6285)
N (0.2210, 0.7641, 0.6946)
N (0.2790, 0.2641, 0.1946)
N (0.2497, 0.0486, 0.4677)
N (0.1824, 0.4802, 0.8345)
N (0.3176, 0.9802, 0.3345)
N (0.2644, 0.3595, 0.0959)
N (0.2276, 0.6481, 0.8715)
N (0.8150, 0.0673, 0.2705)
N (0.7497, 0.4514, 0.0323)
N (0.7790, 0.2359, 0.3054)
N (0.8176, 0.5198, 0.1655)
N (0.2356, 0.8595, 0.5959)
N (0.7724, 0.3519, 0.1285)
N (0.6824, 0.0198, 0.6655)
N (0.2503, 0.5486, 0.9677)
N (0.7210, 0.7359, 0.8054)
N (0.7356, 0.6405, 0.9041)
N (0.1850, 0.9327, 0.7295)
N (0.7644, 0.1405, 0.4041)
N (0.7503, 0.9514, 0.5323)
O (0.5494, 0.6281, 0.2715)
O (0.3920, 0.1347, 0.7592)
O (0.8108, 0.5898, 0.4843)
O (0.3108, 0.9102, 0.0157)
O (0.3315, 0.7534, 0.1609)
O (0.1897, 0.0207, 0.6257)
O (0.0017, 0.0020, 0.9010)
O (0.4983, 0.5020, 0.4010)
O (0.1892, 0.4102, 0.5157)
O (0.4506, 0.3719, 0.7285)
O (0.6685, 0.2466, 0.8391)
O (0.2104, 0.3874, 0.9345)
O (0.8426, 0.4141, 0.2559)
O (0.0714, 0.5011, 0.3798)
O (0.7104, 0.1126, 0.5655)
O (0.3088, 0.6868, 0.4089)
O (0.1731, 0.8295, 0.8230)
O (0.2049, 0.2113, 0.5001)
O (0.0494, 0.8719, 0.2285)
O (0.6080, 0.8653, 0.2408)
O (0.1685, 0.2534, 0.6609)
O (0.6574, 0.9141, 0.7559)
O (0.3426, 0.0859, 0.2441)
O (0.2951, 0.7113, 0.0001)
O (0.7791, 0.8047, 0.9330)
O (0.5017, 0.4980, 0.5990)
O (0.8269, 0.1705, 0.1770)
O (0.6892, 0.0898, 0.9843)
O (0.1574, 0.5859, 0.7441)
O (0.9506, 0.1281, 0.7715)
O (0.7209, 0.3047, 0.4330)
O (0.2896, 0.8874, 0.4345)
O (0.3103, 0.5207, 0.1257)
O (0.7951, 0.7887, 0.4999)
O (0.1080, 0.6347, 0.2592)
O (0.6897, 0.4793, 0.8743)
O (0.9286, 0.4989, 0.6202)
O (0.7049, 0.2887, 0.9999)
O (0.1912, 0.1868, 0.9089)
O (0.8103, 0.9793, 0.3743)
O (0.7896, 0.6126, 0.0655)
O (0.3269, 0.3295, 0.3230)
O (0.2209, 0.1953, 0.0670)
O (0.8920, 0.3653, 0.7408)
O (0.9983, 0.9980, 0.0990)
O (0.5714, 0.9989, 0.1202)
O (0.6731, 0.6705, 0.6770)
O (0.8315, 0.7466, 0.3391)
O (0.2791, 0.6953, 0.5670)
O (0.8088, 0.8132, 0.0911)
O (0.4286, 0.0011, 0.8798)
O (0.6912, 0.3132, 0.5911)



(5)
Material: CaSmMn2O6
Method: DFT, PBE+U
State: relaxed

## Properties
Its final energy is -7.492 eV per atom. The symmetry is Pmn2_1, No. 31. Its formation energy is -63.75 kcal/mol of atoms.

a b c (Å): 5.4146 5.5525 7.6302
angles (deg): 90.00 90.00 90.00
Fractional coordinates of all 20 atoms:
Sm (0.9863, 0.8037, 0.5000)
Sm (0.4863, 0.1963, 0.0000)
Mn (0.9996, 0.2530, 0.7498)
Mn (0.4996, 0.7470, 0.7502)
Mn (0.4996, 0.7470, 0.2498)
Mn (0.9996, 0.2530, 0.2502)
O (0.9127, 0.2730, 0.0000)
O (0.7106, 0.0392, 0.2947)
O (0.7106, 0.0392, 0.7053)
O (0.2945, 0.4558, 0.7940)
O (0.7945, 0.5442, 0.2940)
O (0.7945, 0.5442, 0.7060)
O (0.4127, 0.7270, 0.5000)
O (0.0827, 0.2256, 0.5000)
O (0.2106, 0.9608, 0.2053)
O (0.2106, 0.9608, 0.7947)
O (0.5827, 0.7744, 0.0000)
O (0.2945, 0.4558, 0.2060)
Ca (0.5090, 0.2969, 0.5000)
Ca (0.0090, 0.7031, 0.0000)



(6)
Material: V4Zn3Cu3O22
Method: DFT, PBE+U
State: relaxed

## Properties
Its final energy is -5.566 eV per atom. The symmetry is P-1, No. 2. Its formation energy is -27.94 kcal/mol of atoms.

a b c (Å): 5.9036 5.9446 14.6654
angles (deg): 89.50 89.63 60.51
Fractional coordinates of all 32 atoms:
O (0.6855, 0.1537, 0.4169)
O (0.6654, 0.6642, 0.2329)
O (0.3346, 0.3358, 0.7671)
O (0.3322, 0.3334, 0.2639)
O (0.6678, 0.6666, 0.7361)
O (0.3421, 0.3139, 0.0560)
O (0.8412, 0.3175, 0.0879)
O (0.6844, 0.1470, 0.9159)
O (0.8384, 0.8502, 0.0855)
O (0.1588, 0.6825, 0.9121)
O (0.3156, 0.8530, 0.0841)
O (0.9989, 0.0010, 0.7488)
O (0.3145, 0.8463, 0.5831)
O (0.8364, 0.3165, 0.5842)
O (0.0011, 0.9990, 0.2512)
O (0.6579, 0.6861, 0.9440)
O (0.1636, 0.6835, 0.4158)
O (0.1601, 0.1555, 0.4145)
O (0.1616, 0.1498, 0.9145)
O (0.3512, 0.3222, 0.5533)
O (0.8399, 0.8445, 0.5855)
O (0.6488, 0.6778, 0.4467)
Zn (0.0000, 0.5000, 0.5000)
Zn (0.0000, 0.5000, 0.0000)
Zn (0.5000, 0.5000, 0.0000)
V (0.0010, 0.9952, 0.8718)
V (0.0036, 0.9972, 0.3733)
V (0.9964, 0.0028, 0.6267)
V (0.9990, 0.0048, 0.1282)
Cu (0.5000, 0.0000, 0.5000)
Cu (0.5000, 0.5000, 0.5000)
Cu (0.5000, 0.0000, 0.0000)



(7)
Material: KVPO5
Method: DFT, PBE+U
State: relaxed

## Properties
Its final energy is -6.986 eV per atom. The symmetry is Pna2_1, No. 33. Its formation energy is -59.60 kcal/mol of atoms. As for the energy above the most stable polymorph in this dataset: 0.0698 eV per atom.

a b c (Å): 6.4581 10.6153 12.9681
angles (deg): 90.00 90.00 90.00
Fractional coordinates of all 64 atoms:
K (0.2792, 0.8150, 0.1253)
K (0.7792, 0.3150, 0.3747)
K (0.2967, 0.5712, 0.8954)
K (0.7208, 0.3150, 0.8747)
K (0.2208, 0.8150, 0.6253)
K (0.2033, 0.5712, 0.3954)
K (0.7033, 0.0712, 0.1046)
K (0.7967, 0.0712, 0.6046)
O (0.4789, 0.1481, 0.4806)
O (0.3120, 0.9880, 0.8884)
O (0.4753, 0.3814, 0.5100)
O (0.0437, 0.3910, 0.2191)
O (0.9753, 0.8814, 0.9900)
O (0.9789, 0.6481, 0.0194)
O (0.3080, 0.2444, 0.0917)
O (0.9672, 0.6323, 0.7530)
O (0.6920, 0.7444, 0.9083)
O (0.8120, 0.4880, 0.6116)
O (0.0247, 0.3814, 0.0100)
O (0.5328, 0.6323, 0.2530)
O (0.4563, 0.3910, 0.7191)
O (0.6880, 0.4880, 0.1116)
O (0.6920, 0.0444, 0.8894)
O (0.0211, 0.1481, 0.9806)
O (0.5247, 0.8814, 0.4900)
O (0.1880, 0.9880, 0.3884)
O (0.9563, 0.8910, 0.7809)
O (0.5437, 0.8910, 0.2809)
O (0.6970, 0.7850, 0.1003)
O (0.8080, 0.7444, 0.4083)
O (0.3080, 0.5444, 0.1106)
O (0.4554, 0.4043, 0.2538)
O (0.1920, 0.2444, 0.5917)
O (0.5211, 0.6481, 0.5194)
O (0.3030, 0.2850, 0.8997)
O (0.4546, 0.1439, 0.2730)
O (0.8080, 0.0444, 0.3894)
O (0.1970, 0.2850, 0.3997)
O (0.9554, 0.9043, 0.2462)
O (0.8030, 0.7850, 0.6003)
O (0.5446, 0.9043, 0.7462)
O (0.1920, 0.5444, 0.6106)
O (0.9546, 0.6439, 0.2270)
O (0.0328, 0.1323, 0.2470)
O (0.0454, 0.1439, 0.7730)
O (0.0446, 0.4043, 0.7538)
O (0.4672, 0.1323, 0.7470)
O (0.5454, 0.6439, 0.7270)
V (0.7665, 0.7563, 0.2537)
V (0.2335, 0.2563, 0.7463)
V (0.5058, 0.5041, 0.6255)
V (0.0058, 0.0041, 0.8745)
V (0.7335, 0.7563, 0.7537)
V (0.2665, 0.2563, 0.2463)
V (0.4942, 0.0041, 0.3745)
V (0.9942, 0.5041, 0.1255)
P (0.4978, 0.5171, 0.1803)
P (0.8340, 0.7633, 0.0032)
P (0.1660, 0.2633, 0.9968)
P (0.3340, 0.2633, 0.4968)
P (0.5022, 0.0171, 0.8197)
P (0.6660, 0.7633, 0.5032)
P (0.9978, 0.0171, 0.3197)
P (0.0022, 0.5171, 0.6803)